(1)
Tb5Mo2O12 after structural relaxation, computed with meta-GGA r2SCAN.

## Properties
Total magnetization: 0.05 μB per atom
E_tot: -344.33 eV/f.u.
ΔH_f (0 K): -3.3886 eV per atom

Cell: 6.783 6.783 7.551 Å, 73.67 73.67 49.93°
Atoms (fractional coordinates):
1 Tb 0.306 0.306 0.360
2 Tb 0.694 0.694 0.640
3 Tb 0.315 0.315 0.823
4 Tb 0.685 0.685 0.177
5 Tb 0.000 0.000 0.500
6 Mo 0.783 0.217 0.000
7 Mo 0.217 0.783 0.000
8 O 0.908 0.418 0.919
9 O 0.418 0.908 0.919
10 O 0.092 0.582 0.081
11 O 0.582 0.092 0.081
12 O 0.097 0.592 0.576
13 O 0.592 0.097 0.576
14 O 0.903 0.408 0.424
15 O 0.408 0.903 0.424
16 O 0.000 0.000 0.796
17 O 0.000 0.000 0.204
18 O 0.501 0.501 0.819
19 O 0.499 0.499 0.181

---

(2)
Sc2O3 after structural relaxation, computed with meta-GGA r2SCAN.

## Properties
Total magnetization: 0.00 μB per atom
E_tot: -59.81 eV/f.u.
ΔH_f (0 K): -3.8191 eV per atom

Cell: 5.348 5.666 5.348 Å, 118.16 60.00 118.16°
Atoms (fractional coordinates):
1 Sc 0.144 0.432 0.144
2 Sc 0.356 0.068 0.356
3 Sc 0.644 0.932 0.644
4 Sc 0.856 0.568 0.856
5 O 0.250 0.750 0.549
6 O 0.049 0.250 0.750
7 O 0.451 0.250 0.049
8 O 0.549 0.750 0.951
9 O 0.951 0.750 0.250
10 O 0.750 0.250 0.451

---

(3)
TmUTe4 after structural relaxation, computed with meta-GGA r2SCAN.

## Properties
Total magnetization: 0.41 μB per atom
E_tot: -223.98 eV/f.u.
ΔH_f (0 K): -1.2075 eV per atom

Cell: 8.044 8.027 8.026 Å, 149.38 135.33 55.11°
Atoms (fractional coordinates):
1 Tm 0.142 0.141 0.000
2 U 0.863 0.863 0.000
3 Te 0.706 0.206 0.500
4 Te 0.291 0.791 0.500
5 Te 0.751 0.499 0.252
6 Te 0.248 0.500 0.748

---

(4)
Nb3MoSe8 after structural relaxation, computed with meta-GGA r2SCAN.

## Properties
Total magnetization: 0.20 μB per atom
E_tot: -225.69 eV/f.u.
ΔH_f (0 K): -0.9103 eV per atom

Cell: 3.460 5.990 13.463 Å, 81.29 90.00 90.00°
Atoms (fractional coordinates):
1 Nb 0.000 0.667 0.502
2 Nb 0.500 0.674 0.001
3 Nb 0.500 0.167 0.502
4 Mo 0.000 0.159 0.001
5 Se 0.500 0.286 0.122
6 Se 0.500 0.791 0.628
7 Se 0.000 0.794 0.126
8 Se 0.000 0.291 0.628
9 Se 0.000 0.880 0.875
10 Se 0.500 0.876 0.375
11 Se 0.500 0.368 0.880
12 Se 0.000 0.376 0.375